# 1
First-principles (PBE with a Hubbard U) data for crystalline Sr8Fe7CoO20 at its relaxed geometry, as listed in the Materials Project.

a b c (Å): 11.1005 11.4760 17.7529
angles (deg): 108.81 108.15 90.23
Last column: nearest neighbours and their distance in Å.
Element x y z (fractional)
Fe: 0.0043 0.5001 0.5001  4 O 1.99-2.01
Fe: 0.7544 0.2502 0.5005  6 O 1.99-2.23
Fe: 0.3575 0.9088 0.2495  4 O 1.89-1.95
Fe: 0.8571 0.4086 0.7482  4 O 1.85-1.95
Fe: 0.1088 0.5911 0.2515  4 O 1.85-1.95
Fe: 0.8573 0.9089 0.7493  4 O 1.87-1.95
Fe: 0.6079 0.5903 0.2493  4 O 1.89-1.95
Fe: 0.1088 0.0912 0.2511  4 O 1.87-1.95
Fe: 0.2538 0.2496 0.4993  5 O 1.99-2.20
Fe: 0.6083 0.0910 0.7503  4 O 1.89-1.95
Fe: 0.8588 0.9106 0.2517  4 O 1.87-1.95
Fe: 0.5042 0.9999 0.5000  4 O 1.99-2.01
Fe: 0.6082 0.0908 0.2509  4 O 1.86-1.95
Fe: 0.1081 0.0908 0.7503  4 O 1.89-1.95
Fe: 0.7544 0.7504 0.5006  5 O 1.99-2.20
Fe: 0.5046 0.5004 0.5008  5 O 1.99-2.20
Fe: 0.5054 0.5011 0.9999  4 O 1.96-2.03
Fe: 0.6075 0.5900 0.7489  4 O 1.86-1.95
Fe: 0.8576 0.4090 0.2496  4 O 1.89-1.95
Fe: 0.2548 0.7507 0.0004  4 O 1.97-2.06
Fe: 0.1085 0.5910 0.7503  4 O 1.88-1.94
Fe: 0.0039 0.9995 0.4992  5 O 2.00-2.19
Fe: 0.3582 0.4095 0.7506  4 O 1.89-1.95
Fe: 0.2550 0.2510 0.0003  4 O 1.98-2.07
Fe: 0.3579 0.4086 0.2496  4 O 1.90-1.94
Fe: 0.3577 0.9091 0.7493  4 O 1.86-1.96
Fe: 0.7545 0.2494 0.9999  4 O 1.97-2.07
Fe: 0.2540 0.7499 0.4996  6 O 2.00-2.23
O: 0.6848 0.9399 0.7500  2 Fe 1.93-1.95
O: 0.3732 0.6203 0.9918  2 Fe 2.00-2.01
O: 0.6326 0.3779 0.5080  2 Fe 2.00-2.01
O: 0.8298 0.7948 0.6384  1 Fe 1.91
O: 0.3746 0.6194 0.4916  2 Fe 2.00-2.01
O: 0.9349 0.5600 0.2502  2 Fe 1.93-1.95
O: 0.4413 0.4049 0.3599  1 Fe 1.90
O: 0.1207 0.1174 0.9922  1 Co 1.94, 1 Fe 2.07
O: 0.6850 0.4394 0.2499  2 Fe 1.94-1.95
O: 0.1205 0.6181 0.9922  1 Co 1.93, 1 Fe 2.06
O: 0.6917 0.2058 0.3611  1 Fe 1.90
O: 0.6914 0.2050 0.8598  1 Fe 1.89
O: 0.8743 0.1196 0.4917  2 Fe 2.00-2.01
O: 0.1324 0.3782 0.5083  2 Fe 2.00-2.01
O: 0.8889 0.8875 0.0080  2 Co 1.88-2.09
O: 0.9420 0.9008 0.8564  1 Fe 1.87
O: 0.5837 0.0979 0.1441  1 Fe 1.86
O: 0.6318 0.8804 0.0072  2 Co 1.97-2.02
O: 0.1244 0.1222 0.4920  2 Fe 1.99-2.00
O: 0.4401 0.9031 0.8561  1 Fe 1.86
O: 0.4409 0.4033 0.8594  1 Fe 1.89
O: 0.3831 0.8805 0.5084  2 Fe 1.99-2.00
O: 0.5814 0.0946 0.6398  1 Fe 1.90
O: 0.4411 0.9050 0.3601  1 Fe 1.91
O: 0.6912 0.7047 0.3599  1 Fe 1.91
O: 0.6249 0.1230 0.9924  1 Fe 1.98, 1 Co 2.01
O: 0.8300 0.2945 0.6376  1 Fe 1.91
O: 0.8782 0.6141 0.9908  2 Co 1.93-2.09
O: 0.3822 0.3796 0.0083  2 Fe 1.98-2.02
O: 0.3302 0.2949 0.1395  1 Fe 1.90
O: 0.0864 0.6012 0.1459  1 Fe 1.85
O: 0.1343 0.8756 0.0082  1 Fe 1.97, 1 Co 2.04
O: 0.6916 0.7052 0.8555  1 Fe 1.86
O: 0.8743 0.6196 0.4917  2 Fe 2.00-2.01
O: 0.8319 0.2948 0.1405  1 Fe 1.89
O: 0.1915 0.7040 0.8597  1 Fe 1.88
O: 0.3828 0.3804 0.5082  2 Fe 1.99-2.00
O: 0.3318 0.7956 0.1400  1 Fe 1.89
O: 0.3311 0.2953 0.6400  1 Fe 1.91
O: 0.8825 0.8802 0.5083  2 Fe 2.00
O: 0.1850 0.4396 0.7498  2 Fe 1.94-1.95
O: 0.4346 0.0605 0.2505  2 Fe 1.93-1.95
O: 0.1304 0.3782 0.0080  1 Co 1.98, 1 Fe 2.02
O: 0.9356 0.5608 0.7497  2 Fe 1.94
O: 0.8873 0.3841 0.0082  1 Co 1.93, 1 Fe 2.07
O: 0.6239 0.6203 0.9917  1 Fe 1.96, 1 Co 2.03
O: 0.9404 0.3979 0.8536  1 Fe 1.85
O: 0.4351 0.0610 0.7494  2 Fe 1.94-1.95
O: 0.1862 0.4396 0.2506  2 Fe 1.94
O: 0.6242 0.1219 0.4916  2 Fe 1.99-2.00
O: 0.4347 0.5606 0.7500  2 Fe 1.93-1.95
O: 0.4354 0.5600 0.2500  2 Fe 1.93-1.95
O: 0.8826 0.3806 0.5081  2 Fe 1.99-2.00
O: 0.1328 0.8781 0.5087  2 Fe 2.00-2.01
O: 0.1922 0.2054 0.3621  1 Fe 1.91
O: 0.6844 0.4390 0.7490  2 Fe 1.93-1.95
O: 0.9350 0.0602 0.7494  2 Fe 1.93-1.95
O: 0.0813 0.0951 0.6402  1 Fe 1.90
O: 0.9355 0.0615 0.2508  2 Fe 1.93-1.95
O: 0.1854 0.9397 0.2504  2 Fe 1.94-1.95
O: 0.5800 0.5935 0.6380  1 Fe 1.91
O: 0.0810 0.5947 0.6396  1 Fe 1.91
O: 0.0860 0.1003 0.1443  1 Fe 1.87
O: 0.8359 0.7966 0.1447  1 Fe 1.87
O: 0.6244 0.6220 0.4915  2 Fe 1.99-2.00
O: 0.3732 0.1201 0.9923  1 Fe 2.00, 1 Co 2.02
O: 0.1919 0.7055 0.3621  1 Fe 1.91
O: 0.5815 0.5958 0.1403  1 Fe 1.89
O: 0.3820 0.8795 0.0077  1 Fe 1.98, 1 Co 2.00
O: 0.6339 0.3769 0.0083  2 Fe 1.99-2.03
O: 0.1242 0.6219 0.4918  2 Fe 2.00
O: 0.3747 0.1195 0.4918  2 Fe 2.00-2.01
O: 0.3310 0.7943 0.6390  1 Fe 1.90
O: 0.1847 0.9398 0.7497  2 Fe 1.93-1.96
O: 0.8730 0.1220 0.9916  1 Fe 1.97, 1 Co 2.03
O: 0.9423 0.9066 0.3623  1 Fe 1.91
O: 0.9412 0.4054 0.3601  1 Fe 1.91
O: 0.6326 0.8778 0.5081  2 Fe 2.00-2.01
O: 0.1909 0.2038 0.8606  1 Fe 1.89
O: 0.6855 0.9396 0.2507  2 Fe 1.94-1.95
Sr: 0.4472 0.7039 0.3903  7 O 2.47-2.72
Sr: 0.9457 0.7040 0.8911  7 O 2.49-2.69
Sr: 0.4519 0.7076 0.8922  7 O 2.49-2.76
Sr: 0.5598 0.7973 0.1077  7 O 2.48-2.76
Sr: 0.1973 0.4363 0.3907  7 O 2.46-2.72
Sr: 0.4484 0.2027 0.8916  7 O 2.48-2.74
Sr: 0.7014 0.4390 0.8921  7 O 2.49-2.77
Sr: 0.9471 0.2059 0.8914  7 O 2.50-2.72
Sr: 0.3064 0.5638 0.6098  7 O 2.47-2.72
Sr: 0.3031 0.5638 0.1086  7 O 2.50-2.69
Sr: 0.1981 0.9357 0.8913  7 O 2.49-2.71
Sr: 0.0571 0.7961 0.6097  7 O 2.46-2.73
Sr: 0.9467 0.7038 0.3904  7 O 2.47-2.72
Sr: 0.8067 0.0639 0.6096  7 O 2.46-2.72
Sr: 0.3070 0.0615 0.1083  7 O 2.48-2.73
Sr: 0.4473 0.2041 0.3903  7 O 2.46-2.72
Sr: 0.0557 0.2949 0.1090  7 O 2.49-2.71
Sr: 0.9465 0.2046 0.3906  7 O 2.46-2.71
Sr: 0.8068 0.5638 0.6096  7 O 2.46-2.72
Sr: 0.5558 0.2955 0.6094  7 O 2.46-2.71
Sr: 0.1974 0.9363 0.3906  7 O 2.46-2.72
Sr: 0.0571 0.2958 0.6096  7 O 2.46-2.72
Sr: 0.6959 0.9369 0.8916  7 O 2.49-2.71
Sr: 0.1942 0.4371 0.8915  7 O 2.50-2.70
Sr: 0.8092 0.5653 0.1077  7 O 2.50-2.76
Sr: 0.3064 0.0639 0.6096  7 O 2.46-2.72
Sr: 0.6966 0.9361 0.3903  7 O 2.46-2.72
Sr: 0.5572 0.2924 0.1085  7 O 2.49-2.74
Sr: 0.0533 0.7936 0.1084  7 O 2.50-2.68
Sr: 0.6968 0.4360 0.3902  7 O 2.47-2.72
Sr: 0.8044 0.0622 0.1086  7 O 2.49-2.72
Sr: 0.5559 0.7961 0.6098  7 O 2.47-2.71
Co: 0.0050 0.5001 0.0004  4 O 1.93-1.98
Co: 0.7556 0.7516 0.0004  4 O 2.02-2.09
Co: 0.0037 0.9993 0.9997  4 O 1.88-2.04
Co: 0.5044 0.9993 0.9996  4 O 1.97-2.02

Output
**M_tot**: 1.52 μB per cell
**Final energy**: -822.3 eV/cell


# 2
First-principles (PBE with a Hubbard U) data for crystalline Ta4FeCoO12 at its relaxed geometry, as listed in the Materials Project.

a b c (Å): 6.8029 6.8209 10.4204
angles (deg): 70.90 70.94 90.00
Last column: nearest neighbours and their distance in Å.
Element x y z (fractional)
O: 0.8402 0.1336 0.3194  2 Ta 1.98-2.00, 1 Fe 2.19
O: 0.3402 0.0471 0.3194  2 Ta 1.98-2.00, 1 Fe 2.18
O: 0.0623 0.2500 0.5000  2 Ta 2.03, 1 Fe 2.13
O: 0.6165 0.4116 0.1768  2 Ta 1.98-2.01, 1 Co 2.15
O: 0.2067 0.4116 0.1768  2 Ta 1.98-2.01, 1 Co 2.15
O: 0.5000 0.8120 0.0000  2 Ta 2.02, 1 Co 2.13
O: 0.1598 0.4529 0.6806  2 Ta 1.98-2.00, 1 Fe 2.19
O: 0.7066 0.9117 0.1769  2 Ta 1.98-2.01, 1 Co 2.15
O: 0.1597 0.8665 0.6806  2 Ta 1.98-2.00, 1 Fe 2.19
O: 0.8403 0.5471 0.3194  2 Ta 1.98-2.00, 1 Fe 2.19
O: 0.1165 0.9116 0.1768  2 Ta 1.98-2.01, 1 Co 2.15
O: 0.7933 0.5884 0.8232  2 Ta 1.98-2.01, 1 Co 2.15
O: 0.4377 0.2500 0.4999  2 Ta 2.03, 1 Fe 2.12
O: 0.6598 0.9530 0.6805  2 Ta 1.98-2.00, 1 Fe 2.18
O: 0.0000 0.3120 0.0000  2 Ta 2.02, 1 Co 2.13
O: 0.9377 0.7500 0.5000  2 Ta 2.03, 1 Fe 2.13
O: 0.8835 0.0884 0.8232  2 Ta 1.98-2.01, 1 Co 2.15
O: 0.5624 0.7500 0.5001  2 Ta 2.03, 1 Fe 2.12
O: 0.5000 0.1880 0.0000  2 Ta 2.02, 1 Co 2.13
O: 0.3402 0.6335 0.3194  2 Ta 1.98-2.00, 1 Fe 2.18
O: 0.0000 0.6880 0.0000  2 Ta 2.02, 1 Co 2.13
O: 0.2934 0.0883 0.8231  2 Ta 1.98-2.01, 1 Co 2.15
O: 0.6598 0.3665 0.6806  2 Ta 1.98-2.00, 1 Fe 2.18
O: 0.3835 0.5884 0.8232  2 Ta 1.98-2.01, 1 Co 2.15
Ta: 0.8352 0.8352 0.3296  6 O 1.98-2.03
Ta: 0.6649 0.6648 0.6704  6 O 1.98-2.03
Ta: 0.5842 0.0842 0.8316  6 O 1.98-2.02
Ta: 0.3351 0.3352 0.3296  6 O 1.98-2.03
Ta: 0.4158 0.9158 0.1685  6 O 1.98-2.02
Ta: 0.1648 0.1648 0.6703  6 O 1.98-2.03
Ta: 0.0842 0.5842 0.8315  6 O 1.98-2.02
Ta: 0.9157 0.4158 0.1685  6 O 1.98-2.02
Fe: 0.2501 0.7500 0.4999  6 O 2.12-2.19
Fe: 0.7499 0.2500 0.5002  6 O 2.12-2.19
Co: 0.0000 0.0000 0.0000  6 O 2.13-2.15
Co: 0.5000 0.5000 0.0000  6 O 2.13-2.15

Output
**M_tot**: 8.05 μB per cell
**Final energy**: -326.5 eV/cell


# 3
First-principles (PBE with a Hubbard U) data for crystalline Fe3Co3Te2O16 at its relaxed geometry, as listed in the Materials Project.

a b c (Å): 5.6955 5.6955 9.2154
angles (deg): 89.83 89.83 59.78
Last column: nearest neighbours and their distance in Å.
Element x y z (fractional)
O: 0.5122 0.9676 0.8322  1 Fe 1.86, 1 Co 1.91
O: 0.9981 0.9981 0.8083  1 Co 1.88, 2 Fe 1.88
O: 0.6652 0.6652 0.6137  2 Fe 1.86, 1 Co 1.88
O: 0.1597 0.1597 0.5999  2 Fe 1.96, 1 Te 1.99
O: 0.0282 0.4852 0.3327  1 Fe 1.88, 1 Co 1.90
O: 0.4852 0.0282 0.3327  1 Fe 1.88, 1 Co 1.90
O: 0.4835 0.4835 0.3303  2 Co 1.88, 1 Te 2.09
O: 0.1616 0.6795 0.5987  1 Co 1.95, 1 Te 1.96, 1 Fe 1.97
O: 0.9676 0.5122 0.8322  1 Fe 1.86, 1 Co 1.91
O: 0.8445 0.8445 0.0951  2 Co 1.95, 1 Te 1.95
O: 0.8400 0.3231 0.0984  1 Te 1.95, 1 Co 1.96, 1 Fe 1.97
O: 0.0018 0.0018 0.3067  1 Fe 1.85, 2 Co 1.89
O: 0.3301 0.3301 0.1115  1 Fe 1.86, 2 Co 1.88
O: 0.5164 0.5164 0.8392  2 Fe 1.90, 1 Te 2.10
O: 0.6795 0.1616 0.5987  1 Co 1.95, 1 Te 1.96, 1 Fe 1.97
O: 0.3231 0.8400 0.0984  1 Te 1.95, 1 Co 1.96, 1 Fe 1.97
Fe: 0.8297 0.3408 0.7183  6 O 1.86-1.97
Fe: 0.3408 0.8297 0.7183  6 O 1.86-1.97
Fe: 0.1703 0.1703 0.2184  6 O 1.85-1.97
Te: 0.3351 0.3351 0.4926  6 O 1.96-2.11
Te: 0.6698 0.6698 0.9967  6 O 1.95-2.11
Co: 0.8299 0.8299 0.7143  6 O 1.88-1.95
Co: 0.6588 0.1702 0.2143  6 O 1.88-1.96
Co: 0.1702 0.6588 0.2143  6 O 1.88-1.96

Output
**M_tot**: 13.00 μB per cell
**Final energy**: -139.6 eV/cell


# 4
First-principles (PBE with a Hubbard U) data for crystalline Fe3Co3Te2O16 at its relaxed geometry, as listed in the Materials Project.

a b c (Å): 5.9306 5.9357 9.2058
angles (deg): 88.67 87.95 60.57
Last column: nearest neighbours and their distance in Å.
Element x y z (fractional)
O: 0.3448 0.8336 0.3996  1 Te 1.96, 1 Fe 2.02, 1 Co 2.05
O: 0.9477 0.5200 0.6509  1 Co 1.97, 1 Te 1.98, 1 Fe 2.09
O: 0.5078 0.9593 0.6579  1 Co 1.85, 1 Te 2.03
O: 0.6442 0.6731 0.8922  2 Co 1.84-1.98, 1 Fe 1.98
O: 0.8238 0.8311 0.4028  1 Te 1.91, 2 Fe 2.04-2.05
O: 0.6584 0.1703 0.8996  1 Te 1.93, 1 Co 2.01, 1 Fe 2.03
O: 0.4972 0.5388 0.6598  1 Co 1.89, 1 Te 2.00
O: 0.3204 0.3247 0.3907  1 Co 1.83, 2 Fe 1.99
O: 0.0416 0.4608 0.1584  1 Co 1.88, 1 Te 2.01
O: 0.1810 0.1661 0.8973  1 Te 1.97, 2 Co 2.00-2.04
O: 0.4643 0.0397 0.1582  1 Co 1.86, 1 Te 2.02
O: 0.4787 0.4745 0.1467  1 Te 1.96, 2 Fe 2.06
O: 0.0283 0.9902 0.7032  2 Co 1.84-1.97, 1 Fe 1.96
O: 0.8250 0.3472 0.4034  1 Te 1.94, 1 Fe 2.01, 1 Co 2.10
O: 0.1730 0.6540 0.9025  1 Te 1.94, 1 Fe 2.02, 1 Co 2.07
O: 0.0147 0.0123 0.2000  1 Co 1.85, 2 Fe 1.96
Fe: 0.6672 0.1743 0.2916  6 O 1.96-2.17
Fe: 0.8397 0.8273 0.7935  6 O 1.96-2.16
Fe: 0.1730 0.6685 0.2921  6 O 1.96-2.17
Te: 0.6616 0.6682 0.5114  6 O 1.91-2.03
Te: 0.3363 0.3306 0.0103  6 O 1.93-2.02
Co: 0.1762 0.1733 0.2837  5 O 1.83-2.05
Co: 0.3495 0.8281 0.7838  5 O 1.84-2.04
Co: 0.8458 0.3338 0.7944  5 O 1.97-2.01

Output
**M_tot**: 17.00 μB per cell
**Final energy**: -141.4 eV/cell